1.
DFT (r²SCAN) results for a geometry-optimized Ba3Ta2CoO9 structure.

Computed properties:
DFT formation energy: -2.947 eV per atom
total DFT energy (no corrections): -19.192 eV per atom
SG: P-3m1
V: 13.53 Å³ per atom

```
15
Lattice="2.876 -4.981 0.000 2.876 4.981 0.000 0.000 0.000 7.082" Properties=species:S:1:pos:R:3 pbc="T T T"
O 2.876 3.286 2.314
O 4.284 0.848 2.314
O 2.876 -3.286 4.768
O 4.284 -0.848 4.768
O 1.468 0.848 2.314
O 1.438 -2.491 0.000
O 1.438 2.491 0.000
O 1.468 -0.848 4.768
O 2.876 0.000 0.000
Ta 2.876 -1.660 5.822
Ta 2.876 1.660 1.259
Ba 0.000 0.000 0.000
Ba 2.876 1.660 4.680
Ba 2.876 -1.660 2.402
Co 0.000 0.000 3.541
```

2.
DFT (r²SCAN) results for a geometry-optimized Ba6Y2Co4O15 structure.

Computed properties:
DFT formation energy: -2.512 eV per atom
total DFT energy (no corrections): -15.184 eV per atom
SG: P2/c
V: 16.28 Å³ per atom

```
54
Lattice="5.992 0.000 0.000 0.000 7.989 0.020 0.000 0.311 18.367" Properties=species:S:1:pos:R:3 pbc="T T T"
O 3.040 6.114 0.043
O 0.200 5.816 5.747
O 1.483 4.279 1.643
O 3.246 2.011 3.038
O 2.108 5.807 12.538
O 3.884 2.493 5.850
O 1.388 7.680 1.969
O 0.078 6.412 18.270
O 1.483 3.865 7.561
O 4.509 4.434 10.826
O 4.509 4.021 16.745
O 3.246 6.134 6.166
O 2.952 6.269 9.227
O 4.604 0.619 16.418
O 2.952 2.186 18.344
O 1.079 0.233 13.775
O 2.746 6.289 15.350
O 2.746 2.166 12.221
O 5.914 1.887 0.117
O 4.604 7.835 11.153
O 0.078 2.042 9.300
O 5.792 5.972 14.930
O 2.108 2.648 15.033
O 3.040 2.031 9.160
O 3.884 5.652 3.354
O 1.388 0.464 7.235
O 0.200 2.328 3.457
O 5.914 6.257 9.087
O 5.792 2.483 12.641
O 4.913 0.078 4.592
Ba 1.479 4.141 10.623
Ba 4.031 4.227 13.785
Ba 4.513 3.986 1.440
Ba 4.492 0.291 7.562
Ba 4.270 0.233 13.775
Ba 1.479 4.314 16.948
Ba 1.961 4.072 4.602
Ba 1.722 0.078 4.592
Ba 4.513 4.158 7.764
Ba 1.500 8.008 10.825
Ba 4.492 7.853 1.641
Ba 1.500 0.447 16.746
Co 4.650 1.921 4.345
Co 4.479 6.195 10.360
Co 1.513 2.105 8.028
Co 4.479 2.260 17.211
Co 1.342 6.379 14.042
Co 4.650 6.223 4.859
Co 1.342 2.076 13.529
Co 1.513 6.039 1.176
Y 4.479 2.145 10.821
Y 4.479 6.310 16.750
Y 1.513 1.990 1.638
Y 1.513 6.154 7.566
```

3.
DFT (r²SCAN) results for a geometry-optimized Ba2YCoO5 structure.

Computed properties:
DFT formation energy: -2.732 eV per atom
total DFT energy (no corrections): -15.666 eV per atom
SG: P2_1/c
V: 16.65 Å³ per atom

```
36
Lattice="0.000 6.113 0.000 -0.006 0.000 7.906 12.399 0.000 -0.360" Properties=species:S:1:pos:R:3 pbc="T T T"
Ba 4.766 4.609 7.709
Ba 4.463 4.636 3.750
Ba 7.930 1.477 3.796
Ba 7.628 1.505 -0.162
Ba 1.734 1.580 0.023
Ba 10.660 4.534 7.524
Ba 1.425 1.552 3.971
Ba 10.968 4.561 3.576
O 10.272 1.603 7.165
O 12.261 3.235 1.456
O 2.121 4.510 0.382
O 6.419 2.887 5.611
O 1.637 4.553 3.680
O 9.539 5.870 1.673
O 6.059 5.935 5.589
O 3.336 3.300 5.806
O 6.335 0.179 1.957
O 8.318 4.660 4.155
O 0.132 2.878 6.090
O 4.076 1.454 3.392
O 4.560 1.496 0.093
O 9.057 2.813 1.741
O 0.222 0.169 1.838
O 5.975 3.226 1.935
O 2.855 0.243 5.874
O 12.172 5.944 5.709
O 7.834 4.617 7.453
O 10.756 1.561 3.867
Co 7.354 4.535 5.686
Co 1.157 4.635 1.913
Co 5.040 1.578 1.860
Co 11.237 1.478 5.634
Y 1.590 4.597 5.996
Y 4.601 1.541 5.684
Y 10.804 1.516 1.551
Y 7.792 4.573 1.863
```

4.
DFT (r²SCAN) results for a geometry-optimized BaCrF6 structure.

Computed properties:
DFT formation energy: -3.323 eV per atom
total DFT energy (no corrections): -10.864 eV per atom
SG: R-3m
V: 13.86 Å³ per atom

```
8
Lattice="-2.012 3.889 2.115 -2.381 0.189 -4.236 -2.674 -3.440 2.159" Properties=species:S:1:pos:R:3 pbc="T T T"
F -3.609 0.342 2.796
F -3.457 0.295 -2.758
F -3.649 -2.076 1.421
F -3.850 -2.075 -1.354
F -3.217 2.713 1.392
F -3.418 2.714 -1.383
Cr 0.000 0.000 0.000
Ba -3.533 0.319 0.019
```

5.
DFT (r²SCAN) results for a geometry-optimized BaNaCr2F9 structure.

Computed properties:
DFT formation energy: -3.358 eV per atom
total DFT energy (no corrections): -10.154 eV per atom
SG: P2_1/c
V: 13.09 Å³ per atom

```
52
Lattice="-15.377 -7.637 -2.599 -0.288 -1.201 5.233 -3.641 5.188 6.300" Properties=species:S:1:pos:R:3 pbc="T T T"
F -6.730 2.840 7.330
F -12.576 -6.491 1.605
F -15.520 -5.348 0.792
F -11.259 -4.848 3.791
F -4.372 3.966 6.472
F -5.721 2.610 4.480
F -1.689 -0.154 6.713
F -8.046 1.197 5.143
F -3.392 1.805 5.363
F -11.322 -3.751 1.217
F -7.196 -3.495 4.108
F -17.617 -3.496 2.221
F -11.118 -2.224 6.565
F -15.913 -5.456 3.571
F -3.786 1.697 8.142
F -15.851 -2.503 3.909
F -12.538 -0.282 7.599
F -13.585 -6.261 4.455
F -12.109 -0.156 4.826
F -13.108 -3.257 4.972
F -3.454 -1.148 5.025
F -13.468 -2.705 7.932
F -17.974 -2.381 6.044
F -1.331 -1.270 2.890
F -15.715 -3.563 6.495
F -10.776 -2.304 3.803
F -8.188 -1.427 2.369
F -5.837 -0.945 1.002
F -9.097 -2.763 0.203
F -7.984 0.101 7.717
F -10.208 -0.888 8.731
F -6.198 -0.394 3.962
F -6.767 -3.369 1.335
F -8.529 -1.347 5.131
F -3.590 -0.088 2.439
F -14.933 -7.617 2.463
Cr -11.271 -3.599 5.199
Cr -7.746 -2.997 5.824
Cr -17.055 -2.974 7.679
Cr -2.251 -0.677 1.255
Cr -4.316 2.205 9.862
Cr -8.035 -0.052 3.735
Cr -14.990 -5.856 -0.927
Cr -11.559 -0.654 3.110
Na -17.449 -4.420 4.792
Na -10.150 0.148 6.198
Na -1.857 0.769 4.142
Na -9.155 -3.799 2.736
Ba -5.563 0.513 6.476
Ba -14.484 -1.033 5.790
Ba -4.822 -2.617 3.144
Ba -13.743 -4.163 2.458
```

6.
DFT (r²SCAN) results for a geometry-optimized BaCr2O4 structure.

Computed properties:
DFT formation energy: -2.589 eV per atom
total DFT energy (no corrections): -14.094 eV per atom
SG: Pmmn
V: 13.66 Å³ per atom

```
28
Lattice="-1.805 -4.401 2.076 3.609 0.741 4.708 -8.843 6.353 5.778" Properties=species:S:1:pos:R:3 pbc="T T T"
O -5.737 5.672 9.198
O -2.784 1.532 9.463
O -2.473 1.526 5.429
O -2.468 -0.462 7.658
O -7.499 5.257 6.819
O 0.460 -2.565 5.745
O -4.257 1.160 3.102
O -4.323 -0.810 5.339
O -1.353 -0.926 1.205
O 0.431 -0.560 3.532
O -1.303 -2.979 3.366
O -5.686 3.617 11.359
O -2.716 3.502 7.224
O -4.568 1.165 7.135
O -4.572 3.154 4.906
O -7.470 3.250 9.032
Cr -4.464 1.201 5.131
Cr -2.576 1.492 7.433
Cr 1.757 -1.620 4.602
Cr -2.617 3.547 5.243
Cr -0.812 3.917 7.597
Cr 1.804 0.371 2.355
Cr -8.795 4.312 7.961
Cr 3.608 0.741 4.708
Ba -7.293 1.139 7.309
Ba -2.308 -0.664 3.772
Ba 0.256 1.558 5.252
Ba -4.729 3.362 8.789
```

7.
DFT (r²SCAN) results for a geometry-optimized Ba5Cr3O13 structure.

Computed properties:
DFT formation energy: -2.637 eV per atom
total DFT energy (no corrections): -14.797 eV per atom
SG: P2_1
V: 17.81 Å³ per atom

```
42
Lattice="-7.190 -1.444 -3.018 3.280 -9.310 -3.361 -0.907 -8.367 6.163" Properties=species:S:1:pos:R:3 pbc="T T T"
O -3.972 -14.420 0.740
O -4.625 -8.089 -4.340
O -2.676 -11.530 3.082
O -0.398 -7.963 -0.434
O -2.115 -7.617 -3.359
O 0.593 -12.936 -0.411
O -0.623 -13.200 2.632
O -4.216 -8.822 -1.336
O -3.886 -8.701 1.366
O -0.740 -15.186 0.248
O -0.955 -10.470 -1.525
O -0.226 -11.006 4.182
O -6.346 -9.149 0.267
O -1.771 -6.052 1.924
O -4.406 -11.155 0.223
O 1.737 -14.784 1.263
O -0.581 -10.294 1.129
O -6.541 -4.429 -1.497
O -5.394 -6.181 0.201
O -4.164 -5.915 -2.836
O -2.007 -0.419 -0.843
O -4.112 -3.847 -0.454
O -3.235 -18.787 0.449
O 1.536 -9.924 -0.547
O -3.033 -13.066 -2.135
O -0.840 -4.699 -0.954
Ba 0.687 -7.588 -3.190
Ba -2.009 -12.511 0.361
Ba -5.486 -11.528 2.982
Ba -2.870 -16.715 -0.778
Ba -1.935 -2.403 0.567
Ba -5.584 -13.224 -1.140
Ba -1.749 -8.775 3.181
Ba -2.780 -6.609 -0.565
Ba -6.397 -7.330 -2.083
Ba -3.051 -10.342 -3.389
Cr -4.708 -9.492 0.129
Cr -1.328 -12.219 3.805
Cr -0.108 -9.629 -0.345
Cr -3.486 -6.900 -4.019
Cr -5.609 -4.535 -0.103
Cr 0.788 -14.586 -0.115
```

8.
DFT (r²SCAN) results for a geometry-optimized BaCr10S16 structure.

Computed properties:
DFT formation energy: -1.147 eV per atom
total DFT energy (no corrections): -12.472 eV per atom
SG: P-1
V: 19.02 Å³ per atom

```
27
Lattice="6.852 -0.001 -0.018 1.701 8.972 0.040 3.384 2.239 8.356" Properties=species:S:1:pos:R:3 pbc="T T T"
S 6.818 6.132 5.497
S 8.537 5.055 2.864
S 3.402 2.157 2.918
S 1.668 3.059 0.104
S 8.554 3.031 5.630
S 6.821 8.183 2.732
S 6.825 2.120 2.861
S 5.116 3.078 0.087
S 3.401 6.155 5.515
S 5.113 9.090 5.518
S 5.116 3.028 5.646
S 3.384 8.179 2.748
S 5.119 5.078 2.882
S 8.535 9.054 5.460
S 10.270 8.152 8.274
S 6.821 8.132 8.291
Cr 5.118 1.119 4.169
Cr 3.412 4.018 4.360
Cr 5.110 7.229 4.035
Cr 3.390 4.040 1.396
Cr 6.828 3.982 4.344
Cr 6.821 4.074 1.383
Cr 1.692 1.119 4.178
Cr 8.526 7.192 4.018
Cr 5.116 7.136 6.995
Cr 8.548 7.170 6.983
Ba 0.000 0.000 0.000
```

Q: Which formula does entry 7 have?
A: Ba5Cr3O13

Q: Which of these has the lowest DFT formation energy?
A: BaNaCr2F9

Q: Which value of V does entry 2 give?
A: 16.28 Å³ per atom

Q: Which formula does entry 3 have?
A: Ba2YCoO5